1) ! V6O5F19 | the Materials Project database | r²SCAN | optimized geometry; values from VASP
! **Total magnetization**: 1.000 μB per cell
! **Space group**: P1, No. 1
&SYSTEM
  ibrav = 0, nat = 30, ntyp = 3
/
ATOMIC_SPECIES
V 50.94 V.upf
F 19.00 F.upf
O 16.00 O.upf
ATOMIC_POSITIONS crystal
V 0.9804 0.6096 0.3311
V 0.5278 0.4562 0.9966
V 0.5174 0.1085 0.3309
V 0.0103 0.9852 0.0001
V 0.9802 0.2767 0.6642
V 0.5173 0.7757 0.6642
F 0.9072 0.7309 0.4533
F 0.0827 0.3182 0.5477
F 0.2139 0.9789 0.3610
F 0.2205 0.2995 0.0272
F 0.2820 0.1478 0.6938
F 0.7996 0.6892 0.9732
F 0.2140 0.6458 0.6942
F 0.4085 0.4751 0.8803
F 0.9080 0.0553 0.1216
F 0.9071 0.3970 0.7864
F 0.5883 0.2301 0.4534
F 0.2935 0.8039 0.0250
F 0.0814 0.9759 0.8768
F 0.5827 0.5660 0.1211
F 0.4116 0.1501 0.2150
F 0.0828 0.6497 0.2145
F 0.4118 0.8162 0.5481
F 0.2819 0.4808 0.3611
F 0.5877 0.8976 0.7867
O 0.6988 0.8597 0.3076
O 0.6988 0.5269 0.6410
O 0.7090 0.2068 0.9754
O 0.7973 0.3597 0.3078
O 0.7974 0.0267 0.6408
CELL_PARAMETERS angstrom
-5.1647 0.0255 -0.0001
0.0548 5.3838 -0.0261
-0.0171 -2.4751 -13.6302


2) ! V6O5F19 | the Materials Project database | r²SCAN | optimized geometry; values from VASP
! **Total magnetization**: 1.000 μB per cell
! **Space group**: P1, No. 1
&SYSTEM
  ibrav = 0, nat = 30, ntyp = 3
/
ATOMIC_SPECIES
F 19.00 F.upf
V 50.94 V.upf
O 16.00 O.upf
ATOMIC_POSITIONS crystal
F 0.9377 0.9435 0.8754
F 0.7436 0.1054 0.6932
F 0.5809 0.4656 0.8797
F 0.9346 0.6005 0.2074
F 0.9333 0.2850 0.5441
F 0.7848 0.2828 0.0218
F 0.5856 0.1312 0.2073
F 0.7086 0.4841 0.3586
F 0.2752 0.2192 0.9753
F 0.2150 0.3798 0.3138
F 0.3044 0.5246 0.6415
F 0.2669 0.8893 0.3051
F 0.4337 0.5462 0.1247
F 0.0921 0.3865 0.7909
F 0.4272 0.8806 0.7905
F 0.4390 0.2064 0.4594
F 0.0793 0.7278 0.4546
F 0.5888 0.7880 0.5439
F 0.0844 0.0487 0.1217
V 0.9607 0.7250 0.3348
V 0.0511 0.2708 0.6630
V 0.4228 0.5266 0.9951
V 0.9295 0.9889 0.0060
V 0.4824 0.1922 0.3313
V 0.5598 0.7820 0.6719
O 0.1929 0.7051 0.9798
O 0.7884 0.6151 0.6924
O 0.7789 0.9628 0.3502
O 0.6928 0.8028 0.0244
O 0.2258 0.0336 0.6423
CELL_PARAMETERS angstrom
-5.2879 0.0248 -0.0106
0.2149 5.4238 -0.0329
-0.1159 -2.5747 -13.3319


Which of them is the most stable? Correct choice: 1).


1) ! WO2F | the Materials Project database | r²SCAN | optimized geometry; values from VASP
! **Total magnetization**: 0.000 μB per cell
! **Space group**: P-1, No. 2
&SYSTEM
  ibrav = 0, nat = 24, ntyp = 3
/
ATOMIC_SPECIES
O 16.00 O.upf
F 19.00 F.upf
W 183.84 W.upf
ATOMIC_POSITIONS crystal
O 0.5000 0.5000 0.5000
O 0.1746 0.8380 0.1652
O 0.1519 0.8236 0.6673
O 0.8481 0.1764 0.3327
O 0.6521 0.8258 0.6681
O 0.3114 0.1450 0.8350
O 0.3479 0.1742 0.3319
O 0.5000 0.0000 0.0000
O 0.6886 0.8550 0.1650
O 0.0000 0.5000 0.5000
O 0.5000 0.5000 0.0000
O 0.8254 0.1620 0.8348
F 0.1548 0.3225 0.6657
F 0.8098 0.6494 0.8326
F 0.8452 0.6775 0.3343
F 0.1902 0.3506 0.1674
F 0.5000 0.0000 0.5000
F 0.0000 0.5000 0.0000
W 0.3767 0.7076 0.0838
W 0.9800 0.9832 0.7487
W 0.6724 0.3387 0.4172
W 0.6233 0.2924 0.9162
W 0.3276 0.6613 0.5828
W 0.0200 0.0168 0.2513
CELL_PARAMETERS angstrom
-5.3884 -0.0082 0.0013
2.6373 4.8306 -0.0026
-0.1557 -0.6542 -13.4125


2) ! WO2F | the Materials Project database | r²SCAN | optimized geometry; values from VASP
! **Total magnetization**: 0.000 μB per cell
! **Space group**: C2/c, No. 15
&SYSTEM
  ibrav = 0, nat = 8, ntyp = 3
/
ATOMIC_SPECIES
O 16.00 O.upf
F 19.00 F.upf
W 183.84 W.upf
ATOMIC_POSITIONS crystal
O 0.2475 0.2395 0.2525
O 0.7605 0.7525 0.2475
O 0.7525 0.7605 0.7475
O 0.2395 0.2475 0.7525
F 0.2679 0.7321 0.7500
F 0.7321 0.2679 0.2500
W 0.0000 0.5000 0.0000
W 0.5000 0.0000 0.5000
CELL_PARAMETERS angstrom
-4.2865 -2.9407 1.8940
-1.3010 -4.9661 -2.0627
0.9493 -4.3728 2.9547


Which of them is the most stable? Correct choice: 1).


1) ! SmZrF7 | the Materials Project database | r²SCAN | optimized geometry; values from VASP
! **Total magnetization**: 0.000 μB per cell
! **Space group**: P2_1/c, No. 14
&SYSTEM
  ibrav = 0, nat = 36, ntyp = 3
/
ATOMIC_SPECIES
F 19.00 F.upf
Sm 150.36 Sm.upf
Zr 91.22 Zr.upf
ATOMIC_POSITIONS crystal
F 0.2333 0.4781 0.1401
F 0.5427 0.2550 0.3275
F 0.0412 0.7146 0.4189
F 0.4588 0.7146 0.9189
F 0.2620 0.9750 0.4431
F 0.9783 0.7311 0.6441
F 0.0427 0.7450 0.1725
F 0.9573 0.2550 0.8275
F 0.5471 0.7178 0.4547
F 0.0471 0.2822 0.0453
F 0.4529 0.2822 0.5453
F 0.4105 0.9646 0.2330
F 0.5412 0.2854 0.0811
F 0.2380 0.9750 0.9431
F 0.0895 0.9646 0.7330
F 0.9529 0.7178 0.9547
F 0.0217 0.2689 0.3559
F 0.4783 0.2689 0.8559
F 0.7380 0.0250 0.5569
F 0.4573 0.7450 0.6725
F 0.5895 0.0354 0.7670
F 0.5217 0.7311 0.1441
F 0.7667 0.5219 0.8599
F 0.9588 0.2854 0.5811
F 0.9105 0.0354 0.2670
F 0.7333 0.5219 0.3599
F 0.7620 0.0250 0.0569
F 0.2667 0.4781 0.6401
Sm 0.2422 0.1862 0.2336
Sm 0.7422 0.8138 0.2664
Sm 0.7578 0.8138 0.7664
Sm 0.2578 0.1862 0.7336
Zr 0.2454 0.7268 0.0445
Zr 0.7454 0.2732 0.4555
Zr 0.2546 0.7268 0.5445
Zr 0.7546 0.2732 0.9555
CELL_PARAMETERS angstrom
5.7237 0.0000 0.0000
0.0000 9.1379 0.0134
0.0000 5.7495 10.8681


2) ! SmZrF7 | the Materials Project database | r²SCAN | optimized geometry; values from VASP
! **Total magnetization**: 0.000 μB per cell
! **Space group**: P2_1, No. 4
&SYSTEM
  ibrav = 0, nat = 18, ntyp = 3
/
ATOMIC_SPECIES
F 19.00 F.upf
Sm 150.36 Sm.upf
Zr 91.22 Zr.upf
ATOMIC_POSITIONS crystal
F 0.2378 0.7335 0.4783
F 0.0131 0.0981 0.2931
F 0.0117 0.9342 0.7097
F 0.9255 0.9462 0.0251
F 0.7378 0.2665 0.5217
F 0.5117 0.0658 0.2903
F 0.5085 0.5584 0.2546
F 0.4856 0.4500 0.7329
F 0.4255 0.0538 0.9749
F 0.9856 0.5500 0.2671
F 0.2510 0.6422 0.9715
F 0.0085 0.4416 0.7454
F 0.5131 0.9019 0.7069
F 0.7510 0.3578 0.0285
Sm 0.2362 0.8444 0.1873
Sm 0.7362 0.1556 0.8127
Zr 0.2451 0.6880 0.7245
Zr 0.7451 0.3120 0.2755
CELL_PARAMETERS angstrom
-5.0083 2.2485 -1.9010
-2.8887 -2.2481 4.9512
0.6929 6.2041 5.5125


Which of them is the most stable? Correct choice: 1).


1) ! TlF | the Materials Project database | r²SCAN | optimized geometry; values from VASP
! **Total magnetization**: 0.000 μB per cell
! **Space group**: Fm-3m, No. 225
&SYSTEM
  ibrav = 0, nat = 2, ntyp = 2
/
ATOMIC_SPECIES
F 19.00 F.upf
Tl 204.38 Tl.upf
ATOMIC_POSITIONS crystal
F 0.5000 0.5000 0.0000
Tl 0.0000 0.0000 0.0000
CELL_PARAMETERS angstrom
3.4737 0.0000 -1.8233
-0.9571 3.3393 -1.8233
-0.1609 -0.2135 3.9141


2) ! TlF | the Materials Project database | r²SCAN | optimized geometry; values from VASP
! **Total magnetization**: 0.000 μB per cell
! **Space group**: P4/nmm, No. 129
&SYSTEM
  ibrav = 0, nat = 4, ntyp = 2
/
ATOMIC_SPECIES
Tl 204.38 Tl.upf
F 19.00 F.upf
ATOMIC_POSITIONS crystal
Tl 0.7500 0.7500 0.7442
Tl 0.2500 0.2500 0.2558
F 0.2500 0.2500 0.8642
F 0.7500 0.7500 0.1358
CELL_PARAMETERS angstrom
-3.1617 1.6456 -0.9507
-1.8794 -2.9816 1.0891
-0.4768 2.3919 5.7258


Which of them is the most stable? Correct choice: 2).


1) ! Fe | the Materials Project database | r²SCAN | optimized geometry; values from VASP
! **Total magnetization**: 5.290 μB per cell
&SYSTEM
  ibrav = 0, nat = 2, ntyp = 1
/
ATOMIC_SPECIES
Fe 55.84 Fe.upf
ATOMIC_POSITIONS crystal
Fe 0.5000 0.5000 0.5000
Fe 0.0000 0.0000 0.0000
CELL_PARAMETERS angstrom
2.3361 0.0001 -0.8258
-1.1681 2.0230 -0.8261
1.1701 2.0273 3.3103


2) ! Fe | the Materials Project database | r²SCAN | optimized geometry; values from VASP
! **Total magnetization**: 2.841 μB per cell
! **Space group**: Fm-3m, No. 225
&SYSTEM
  ibrav = 0, nat = 1, ntyp = 1
/
ATOMIC_SPECIES
Fe 55.84 Fe.upf
ATOMIC_POSITIONS crystal
Fe 0.0000 0.0000 0.0000
CELL_PARAMETERS angstrom
2.2386 0.0000 1.2924
0.7462 2.1105 1.2924
0.0000 0.0000 2.5849


Which of them is the most stable? Correct choice: 1).


1) ! Fe | the Materials Project database | r²SCAN | optimized geometry; values from VASP
! **Total magnetization**: 0.000 μB per cell
! **Space group**: P6_3/mmc, No. 194
&SYSTEM
  ibrav = 0, nat = 2, ntyp = 1
/
ATOMIC_SPECIES
Fe 55.84 Fe.upf
ATOMIC_POSITIONS crystal
Fe 0.3333 0.6667 0.2500
Fe 0.6667 0.3333 0.7500
CELL_PARAMETERS angstrom
2.4342 0.0000 0.0000
-1.2171 2.1080 0.0000
0.0000 0.0000 3.8419


2) ! Fe | the Materials Project database | r²SCAN | optimized geometry; values from VASP
! **Total magnetization**: 11.215 μB per cell
&SYSTEM
  ibrav = 0, nat = 4, ntyp = 1
/
ATOMIC_SPECIES
Fe 55.84 Fe.upf
ATOMIC_POSITIONS crystal
Fe 0.8767 0.0000 0.9897
Fe 0.8733 0.5000 0.2602
Fe 0.3767 0.0000 0.4897
Fe 0.3733 0.5000 0.7603
CELL_PARAMETERS angstrom
-1.3189 0.8943 -1.8151
-2.6821 -3.3123 0.3073
-2.6151 2.4058 3.1027


Which of them is the most stable? Correct choice: 2).


1) ! Fe7Ge4 | the Materials Project database | r²SCAN | optimized geometry; values from VASP
! **Total magnetization**: 16.400 μB per cell
! **Space group**: P-6m2, No. 187
&SYSTEM
  ibrav = 0, nat = 11, ntyp = 2
/
ATOMIC_SPECIES
Fe 55.84 Fe.upf
Ge 72.64 Ge.upf
ATOMIC_POSITIONS crystal
Fe 0.3333 0.6667 0.2379
Fe 0.0000 0.0000 0.1278
Fe 0.6667 0.3333 0.5001
Fe 0.0000 0.0000 0.3753
Fe 0.0000 0.0000 0.6247
Fe 0.3333 0.6667 0.7620
Fe 0.0000 0.0000 0.8722
Ge 0.6667 0.3333 0.7530
Ge 0.3333 0.6667 0.5001
Ge 0.6667 0.3333 0.2471
Ge 0.3333 0.6667 0.9999
CELL_PARAMETERS angstrom
2.0407 -3.5345 0.0000
2.0407 3.5345 0.0000
0.0000 0.0000 9.9843


2) ! Fe7Ge4 | the Materials Project database | r²SCAN | optimized geometry; values from VASP
! **Total magnetization**: 33.632 μB per cell
! **Space group**: P6_3/mmc, No. 194
&SYSTEM
  ibrav = 0, nat = 22, ntyp = 2
/
ATOMIC_SPECIES
Ge 72.64 Ge.upf
Fe 55.84 Fe.upf
ATOMIC_POSITIONS crystal
Ge 0.3334 0.6667 0.2500
Ge 0.8102 0.1898 0.2500
Ge 0.6667 0.3333 0.7500
Ge 0.6204 0.8102 0.7500
Ge 0.8102 0.6204 0.2500
Ge 0.3796 0.1898 0.2500
Ge 0.1898 0.8102 0.7500
Ge 0.1898 0.3796 0.7500
Fe 0.5000 0.5000 0.5000
Fe 0.1588 0.3177 0.2500
Fe 0.5000 0.0000 0.0000
Fe 0.5000 0.5000 0.0000
Fe 0.8411 0.6823 0.7500
Fe 0.0000 0.5000 0.5000
Fe 0.0000 0.0000 0.0000
Fe 0.0000 0.5000 0.0000
Fe 0.6823 0.8411 0.2500
Fe 0.3177 0.1588 0.7500
Fe 0.1588 0.8412 0.2500
Fe 0.0000 0.0000 0.5000
Fe 0.8412 0.1588 0.7500
Fe 0.5000 0.0000 0.5000
CELL_PARAMETERS angstrom
-1.0172 -1.4148 7.8926
-5.4544 -2.6907 -5.3235
2.5239 -4.2517 -0.4370


Which of them is the most stable? Correct choice: 2).


1) ! Fe2PO5 | the Materials Project database | r²SCAN | optimized geometry; values from VASP
! **Total magnetization**: 0.000 μB per cell
! **Space group**: Cc, No. 9
&SYSTEM
  ibrav = 0, nat = 16, ntyp = 3
/
ATOMIC_SPECIES
Fe 55.84 Fe.upf
O 16.00 O.upf
P 30.97 P.upf
ATOMIC_POSITIONS crystal
Fe 0.9897 0.0019 0.4971
Fe 0.5073 0.0013 0.4971
Fe 0.4981 0.5103 0.9971
Fe 0.4987 0.9927 0.9970
O 0.3727 0.8765 0.7460
O 0.7025 0.3071 0.8860
O 0.1825 0.3061 0.8877
O 0.8212 0.6921 0.1155
O 0.1929 0.7975 0.3860
O 0.6235 0.1273 0.2460
O 0.8087 0.2027 0.6174
O 0.8079 0.6788 0.6155
O 0.1938 0.3175 0.3877
O 0.2973 0.6913 0.1174
P 0.8763 0.3731 0.7532
P 0.1270 0.6238 0.2532
CELL_PARAMETERS angstrom
-4.9426 1.8296 0.8373
-1.4917 -4.8231 1.7295
3.3070 -1.7291 6.2738


2) ! Fe2PO5 | the Materials Project database | r²SCAN | optimized geometry; values from VASP
! **Total magnetization**: 36.000 μB per cell
! **Space group**: Pnma, No. 62
&SYSTEM
  ibrav = 0, nat = 32, ntyp = 3
/
ATOMIC_SPECIES
O 16.00 O.upf
Fe 55.84 Fe.upf
P 30.97 P.upf
ATOMIC_POSITIONS crystal
O 0.7500 0.1045 0.8643
O 0.0603 0.8711 0.7604
O 0.5603 0.1289 0.2396
O 0.5603 0.6289 0.2604
O 0.2500 0.0394 0.5172
O 0.7500 0.3016 0.4769
O 0.9397 0.6289 0.2604
O 0.2500 0.8955 0.1357
O 0.2500 0.1984 0.9769
O 0.7500 0.6045 0.6357
O 0.7500 0.8016 0.0231
O 0.9397 0.1289 0.2396
O 0.2500 0.6984 0.5231
O 0.2500 0.3955 0.3643
O 0.7500 0.9606 0.4828
O 0.0603 0.3711 0.7396
O 0.4397 0.3711 0.7396
O 0.2500 0.5394 0.9828
O 0.7500 0.4606 0.0172
O 0.4397 0.8711 0.7604
Fe 0.7500 0.3565 0.7776
Fe 0.0000 0.0000 0.0000
Fe 0.7500 0.8565 0.7224
Fe 0.2500 0.6435 0.2224
Fe 0.5000 0.5000 0.5000
Fe 0.2500 0.1435 0.2776
Fe 0.0000 0.5000 0.5000
Fe 0.5000 0.0000 0.0000
P 0.2500 0.8750 0.6366
P 0.2500 0.3750 0.8634
P 0.7500 0.6250 0.1366
P 0.7500 0.1250 0.3634
CELL_PARAMETERS angstrom
-3.5649 5.4156 -0.0477
-5.5999 -3.6588 3.1179
2.5917 1.7652 6.7263


Which of them is the most stable? Correct choice: 1).